The following is a DFT calculation (PBE-GGA) of an optimized crystal structure of Mg3Cd. Values from VASP.

Structure (Quantum ESPRESSO input):
```
&SYSTEM
  ibrav = 0, nat = 4, ntyp = 2
/
ATOMIC_SPECIES
Mg 24.30 Mg.upf
Cd 112.41 Cd.upf
ATOMIC_POSITIONS angstrom
Mg 2.228 2.228 0.000
Mg 2.228 0.000 2.228
Mg 0.000 2.228 2.228
Cd 0.000 0.000 0.000
CELL_PARAMETERS angstrom
4.455 0.000 0.000
0.000 4.455 0.000
0.000 0.000 4.455
```

Output
Raw total energy in eV per atom: -1.487

***

The following is a DFT calculation (PBE-GGA) of an optimized crystal structure of Mg14MnCd. Values from VASP.

Structure (Quantum ESPRESSO input):
```
&SYSTEM
  ibrav = 0, nat = 16, ntyp = 3
/
ATOMIC_SPECIES
Cd 112.41 Cd.upf
Mg 24.30 Mg.upf
Mn 54.94 Mn.upf
ATOMIC_POSITIONS angstrom
Cd -1.572 4.548 1.275
Mg 4.752 0.925 8.964
Mg 3.166 1.814 1.275
Mg 1.549 0.922 8.994
Mg 1.573 4.548 6.375
Mg 3.155 3.640 3.819
Mg 3.150 1.816 6.375
Mg 0.003 1.820 6.375
Mg -0.002 3.608 3.756
Mg 1.579 4.562 1.275
Mg 4.752 0.925 3.786
Mg 1.549 0.922 3.756
Mg 3.155 3.640 8.932
Mg -0.002 3.608 8.994
Mg -1.570 4.549 6.375
Mn -0.019 1.807 1.275
CELL_PARAMETERS angstrom
6.302 0.001 0.000
-3.150 5.456 0.000
0.000 0.000 10.200
```

Output
Offset from the most stable computed form in meV/atom: 0.0

***

The following is a DFT calculation (PBE-GGA) of an optimized crystal structure of Mg14MnCd. Values from VASP.

Structure (Quantum ESPRESSO input):
```
&SYSTEM
  ibrav = 0, nat = 16, ntyp = 3
/
ATOMIC_SPECIES
Mg 24.30 Mg.upf
Cd 112.41 Cd.upf
Mn 54.94 Mn.upf
ATOMIC_POSITIONS angstrom
Mg 1.570 4.542 6.206
Mg 3.145 1.823 1.241
Mg 3.145 3.632 3.727
Mg 3.145 1.812 6.206
Mg -1.579 4.536 1.241
Mg 3.145 3.632 8.685
Mg 1.501 0.949 8.793
Mg 1.579 4.536 1.241
Mg 0.000 3.549 8.793
Mg 0.000 3.549 3.619
Mg 4.789 0.949 8.793
Mg -1.570 4.542 6.206
Mg 1.501 0.949 3.619
Mg 4.789 0.949 3.619
Cd 0.000 1.816 6.206
Mn 0.000 1.816 1.241
CELL_PARAMETERS angstrom
6.290 0.000 0.000
-3.145 5.448 0.000
0.000 0.000 9.930
```

Output
Offset from the most stable computed form in meV/atom: 72.9

***

The following is a DFT calculation (PBE-GGA) of an optimized crystal structure of Mg2CdN2. Values from VASP.

Structure (Quantum ESPRESSO input):
```
&SYSTEM
  ibrav = 0, nat = 5, ntyp = 3
/
ATOMIC_SPECIES
Mg 24.30 Mg.upf
N 14.01 N.upf
Cd 112.41 Cd.upf
ATOMIC_POSITIONS angstrom
Mg 0.985 -1.971 -0.441
Mg 4.879 -1.436 2.001
N 2.374 -0.399 -0.521
N 3.490 -3.008 2.080
Cd 2.024 -0.838 2.038
CELL_PARAMETERS angstrom
-0.724 -3.410 -0.684
2.539 1.679 -1.832
4.048 -1.676 4.075
```

Output
Offset from the most stable computed form in meV/atom: 0.0
Corrected total energy (MP2020 scheme) in eV per atom: -4.532

***

The following is a DFT calculation (PBE-GGA) of an optimized crystal structure of NaMg14Cd. Values from VASP.

Structure (Quantum ESPRESSO input):
```
&SYSTEM
  ibrav = 0, nat = 16, ntyp = 3
/
ATOMIC_SPECIES
Mg 24.30 Mg.upf
Cd 112.41 Cd.upf
Na 22.99 Na.upf
ATOMIC_POSITIONS angstrom
Mg -5.860 -0.472 5.619
Mg -4.666 4.571 3.640
Mg -5.105 7.305 5.177
Mg -7.193 4.911 5.575
Mg -5.493 2.763 1.130
Mg -3.427 5.185 0.789
Mg -3.788 1.939 5.247
Mg -5.054 0.010 -0.411
Mg -4.626 0.135 2.756
Mg -6.740 2.153 4.015
Mg -6.312 2.266 7.166
Mg -2.970 2.440 -0.788
Mg -2.543 2.563 2.379
Mg -4.230 4.694 6.789
Cd -4.170 -2.609 1.192
Na -2.094 -0.200 0.822
CELL_PARAMETERS angstrom
-1.759 5.257 -3.213
-4.140 -4.827 0.749
-3.385 4.276 8.851
```

Output
Offset from the most stable computed form in meV/atom: 0.0

***

The following is a DFT calculation (PBE-GGA) of an optimized crystal structure of NaMg14Cd. Values from VASP.

Structure (Quantum ESPRESSO input):
```
&SYSTEM
  ibrav = 0, nat = 16, ntyp = 3
/
ATOMIC_SPECIES
Mg 24.30 Mg.upf
Na 22.99 Na.upf
Cd 112.41 Cd.upf
ATOMIC_POSITIONS angstrom
Mg 4.682 -3.060 8.665
Mg -0.677 -2.729 2.735
Mg 2.370 -1.851 6.821
Mg 1.616 -3.960 4.543
Mg 1.614 -4.590 1.437
Mg 6.864 -1.788 6.682
Mg 1.581 -0.802 3.962
Mg 3.874 -2.665 2.663
Mg 4.570 0.075 7.982
Mg 6.867 -2.397 3.596
Mg 3.820 -3.302 -0.485
Mg 2.366 -1.211 9.901
Mg -0.623 -2.088 5.882
Mg 4.641 -3.696 5.535
Na 1.542 -1.443 0.804
Cd 4.582 -0.551 4.892
CELL_PARAMETERS angstrom
-4.432 -2.586 3.860
4.562 -3.706 -2.584
6.081 1.784 8.176
```

Output
Offset from the most stable computed form in meV/atom: 3.4

***

The following is a DFT calculation (PBE-GGA) of an optimized crystal structure of Mg6NbCd. Values from VASP.

Structure (Quantum ESPRESSO input):
```
&SYSTEM
  ibrav = 0, nat = 16, ntyp = 3
/
ATOMIC_SPECIES
Mg 24.30 Mg.upf
Nb 92.91 Nb.upf
Cd 112.41 Cd.upf
ATOMIC_POSITIONS angstrom
Mg 3.931 0.588 10.626
Mg 3.112 2.775 8.598
Mg 1.641 2.122 6.046
Mg 0.858 -0.775 5.298
Mg 4.592 -0.848 1.339
Mg 1.453 -0.011 1.015
Mg 3.052 0.638 3.648
Mg 4.525 1.353 6.344
Mg 0.952 1.383 10.319
Mg 3.903 -1.588 5.612
Mg 0.101 3.608 8.355
Mg 0.040 1.412 3.270
Nb 2.411 -0.096 7.967
Nb -0.661 -1.460 2.639
Cd -0.601 0.697 7.634
Cd 2.350 -2.273 2.927
CELL_PARAMETERS angstrom
-1.364 -4.376 1.906
6.024 -1.607 0.621
0.122 4.334 10.036
```

Output
Offset from the most stable computed form in meV/atom: 0.0

***

The following is a DFT calculation (PBE-GGA) of an optimized crystal structure of Mg14NbCd. Values from VASP.

Structure (Quantum ESPRESSO input):
```
&SYSTEM
  ibrav = 0, nat = 16, ntyp = 3
/
ATOMIC_SPECIES
Mg 24.30 Mg.upf
Nb 92.91 Nb.upf
Cd 112.41 Cd.upf
ATOMIC_POSITIONS angstrom
Mg 0.000 3.621 3.701
Mg 0.000 3.621 8.847
Mg 0.000 1.833 6.274
Mg 3.183 1.817 1.255
Mg -1.584 4.584 6.274
Mg 3.183 3.670 8.806
Mg 1.587 4.586 6.274
Mg 4.809 0.944 3.722
Mg 1.548 0.939 8.847
Mg 3.183 3.670 3.741
Mg 4.809 0.944 8.825
Mg 3.178 1.831 6.274
Mg 1.548 0.939 3.701
Mg 1.578 4.597 1.255
Nb -0.009 1.827 1.255
Cd -1.579 4.587 1.255
CELL_PARAMETERS angstrom
6.354 0.003 0.000
-3.175 5.499 0.000
0.000 0.000 10.038
```

Output
Offset from the most stable computed form in meV/atom: 7.0

***

The following is a DFT calculation (PBE-GGA) of an optimized crystal structure of Mg14NbCd. Values from VASP.

Structure (Quantum ESPRESSO input):
```
&SYSTEM
  ibrav = 0, nat = 16, ntyp = 3
/
ATOMIC_SPECIES
Mg 24.30 Mg.upf
Nb 92.91 Nb.upf
Cd 112.41 Cd.upf
ATOMIC_POSITIONS angstrom
Mg 0.000 3.614 8.804
Mg 0.000 3.614 3.711
Mg 1.538 0.950 8.804
Mg 3.184 1.819 1.252
Mg 1.596 4.593 6.258
Mg 1.576 4.605 1.252
Mg 1.538 0.950 3.711
Mg 4.830 0.950 3.711
Mg 4.830 0.950 8.804
Mg 3.184 1.843 6.258
Mg -1.596 4.593 6.258
Mg 3.184 3.676 3.730
Mg 3.184 3.676 8.785
Mg -1.576 4.605 1.252
Nb 0.000 1.838 1.252
Cd 0.000 1.838 6.258
CELL_PARAMETERS angstrom
6.368 0.000 0.000
-3.184 5.514 0.000
0.000 0.000 10.012
```

Output
Offset from the most stable computed form in meV/atom: 0.0

***

The following is a DFT calculation (PBE-GGA) of an optimized crystal structure of Mg6NbCd. Values from VASP.

Structure (Quantum ESPRESSO input):
```
&SYSTEM
  ibrav = 0, nat = 16, ntyp = 3
/
ATOMIC_SPECIES
Mg 24.30 Mg.upf
Nb 92.91 Nb.upf
Cd 112.41 Cd.upf
ATOMIC_POSITIONS angstrom
Mg 2.472 4.665 4.514
Mg 0.000 1.565 6.350
Mg 2.472 1.632 4.514
Mg 0.000 1.584 0.894
Mg 0.000 4.713 0.894
Mg 0.000 3.148 9.107
Mg 2.472 1.517 9.971
Mg 0.000 4.732 6.350
Mg 2.472 4.780 9.971
Mg 2.472 0.000 1.822
Mg 0.000 0.000 3.650
Mg 2.472 3.148 7.279
Nb 0.000 0.000 9.099
Nb 0.000 3.148 3.642
Cd 2.472 0.000 7.355
Cd 2.472 3.148 1.898
CELL_PARAMETERS angstrom
4.944 0.000 0.000
0.000 6.297 0.000
0.000 0.000 10.913
```

Output
Offset from the most stable computed form in meV/atom: 2.1

***

The following is a DFT calculation (PBE-GGA) of an optimized crystal structure of Nd2MgCd. Values from VASP.

Structure (Quantum ESPRESSO input):
```
&SYSTEM
  ibrav = 0, nat = 4, ntyp = 3
/
ATOMIC_SPECIES
Nd 144.24 Nd.upf
Cd 112.41 Cd.upf
Mg 24.30 Mg.upf
ATOMIC_POSITIONS angstrom
Nd 1.934 1.934 1.934
Nd 5.802 5.802 5.802
Cd 3.868 3.868 3.868
Mg 0.000 0.000 0.000
CELL_PARAMETERS angstrom
0.000 3.868 3.868
3.868 0.000 3.868
3.868 3.868 0.000
```

Output
Raw total energy in eV per atom: -3.215

***

The following is a DFT calculation (PBE-GGA) of an optimized crystal structure of Mg6CdNi. Values from VASP.

Structure (Quantum ESPRESSO input):
```
&SYSTEM
  ibrav = 0, nat = 16, ntyp = 3
/
ATOMIC_SPECIES
Mg 24.30 Mg.upf
Cd 112.41 Cd.upf
Ni 58.69 Ni.upf
ATOMIC_POSITIONS angstrom
Mg 0.000 3.071 8.877
Mg 2.453 1.455 9.694
Mg 0.000 4.607 0.895
Mg 0.000 1.534 0.895
Mg 0.000 1.536 6.223
Mg 2.453 0.000 1.782
Mg 2.453 1.615 4.367
Mg 0.000 0.000 3.550
Mg 2.453 3.071 7.110
Mg 2.453 4.526 4.367
Mg 0.000 4.605 6.223
Mg 2.453 4.686 9.694
Cd 2.453 0.000 7.134
Cd 2.453 3.071 1.807
Ni 0.000 0.000 8.975
Ni 0.000 3.071 3.648
CELL_PARAMETERS angstrom
4.906 0.000 0.000
0.000 6.141 0.000
0.000 0.000 10.655
```

Output
Raw total energy in eV per atom: -2.038

***

The following is a DFT calculation (PBE-GGA) of an optimized crystal structure of Mg6CdNi. Values from VASP.

Structure (Quantum ESPRESSO input):
```
&SYSTEM
  ibrav = 0, nat = 16, ntyp = 3
/
ATOMIC_SPECIES
Mg 24.30 Mg.upf
Ni 58.69 Ni.upf
Cd 112.41 Cd.upf
ATOMIC_POSITIONS angstrom
Mg 0.000 4.573 4.354
Mg 0.000 1.473 9.637
Mg 2.425 4.657 6.172
Mg 0.000 3.100 7.043
Mg 0.000 3.100 1.841
Mg 0.000 0.000 1.760
Mg 0.000 0.000 7.124
Mg 2.425 4.642 0.890
Mg 0.000 4.727 9.637
Mg 2.425 1.542 6.172
Mg 0.000 1.627 4.354
Mg 2.425 1.557 0.890
Ni 2.425 0.000 8.797
Ni 2.425 3.100 3.515
Cd 2.425 0.000 3.523
Cd 2.425 3.100 8.806
CELL_PARAMETERS angstrom
4.849 0.000 0.000
0.000 6.199 0.000
0.000 0.000 10.564
```

Output
Raw total energy in eV per atom: -2.039

***

The following is a DFT calculation (PBE-GGA) of an optimized crystal structure of Mg3CdO4. Values from VASP.

Structure (Quantum ESPRESSO input):
```
&SYSTEM
  ibrav = 0, nat = 8, ntyp = 3
/
ATOMIC_SPECIES
O 16.00 O.upf
Cd 112.41 Cd.upf
Mg 24.30 Mg.upf
ATOMIC_POSITIONS angstrom
O 0.000 2.223 0.000
O 2.223 0.000 0.000
O 0.000 0.000 2.223
O 2.223 2.223 2.223
Cd 0.000 0.000 0.000
Mg 2.223 0.000 2.223
Mg 2.223 2.223 0.000
Mg 0.000 2.223 2.223
CELL_PARAMETERS angstrom
4.447 0.000 0.000
0.000 4.447 0.000
0.000 0.000 4.447
```

Output
Corrected total energy (MP2020 scheme) in eV per atom: -5.692

***

The following is a DFT calculation (PBE-GGA) of an optimized crystal structure of Mg14CdSiO16. Values from VASP.

Structure (Quantum ESPRESSO input):
```
&SYSTEM
  ibrav = 0, nat = 32, ntyp = 4
/
ATOMIC_SPECIES
Mg 24.30 Mg.upf
O 16.00 O.upf
Cd 112.41 Cd.upf
Si 28.09 Si.upf
ATOMIC_POSITIONS angstrom
Mg -2.357 3.126 5.596
Mg 3.357 -0.248 7.406
Mg 3.039 -1.964 2.378
Mg 0.261 1.753 4.984
Mg 3.431 -2.538 5.360
Mg -1.902 0.263 6.577
Mg -2.275 0.826 3.591
Mg 2.968 0.332 4.366
Mg -0.103 2.307 2.038
Mg 5.590 -1.047 3.782
Mg 2.578 0.899 1.426
Mg 1.148 -1.709 8.963
Mg 0.651 1.173 8.023
Mg 0.381 -0.567 2.973
O 1.427 1.321 3.212
O 2.369 -2.175 7.223
O -0.847 2.147 6.801
O -1.230 2.717 3.817
O -3.374 1.226 5.326
O 1.809 0.753 6.195
O -1.175 0.427 1.855
O -0.436 -0.702 7.864
O 2.191 0.184 9.178
O 1.044 1.890 0.227
O 4.465 -0.642 5.589
O 1.965 -1.574 4.073
O -0.840 -0.101 4.713
O 4.509 -2.914 3.527
O 1.570 -1.015 1.228
O 4.084 -0.074 2.604
Cd 0.765 -1.138 5.968
Si 0.000 0.000 0.000
CELL_PARAMETERS angstrom
-4.550 1.653 7.181
6.079 -3.929 4.755
2.089 3.781 0.453
```

Output
Corrected total energy (MP2020 scheme) in eV per atom: -6.129

***

The following is a DFT calculation (PBE-GGA) of an optimized crystal structure of Mg14CdSiO16. Values from VASP.

Structure (Quantum ESPRESSO input):
```
&SYSTEM
  ibrav = 0, nat = 32, ntyp = 4
/
ATOMIC_SPECIES
Mg 24.30 Mg.upf
O 16.00 O.upf
Si 28.09 Si.upf
Cd 112.41 Cd.upf
ATOMIC_POSITIONS angstrom
Mg 6.471 4.305 2.172
Mg 4.346 0.000 0.000
Mg 2.201 0.000 2.172
Mg 2.217 6.470 0.000
Mg 4.346 4.305 0.000
Mg 4.346 6.462 2.172
Mg 0.000 2.131 2.172
Mg 2.217 2.141 0.000
Mg 0.000 6.480 2.172
Mg 6.490 0.000 2.172
Mg 2.221 4.305 2.172
Mg 4.346 2.149 2.172
Mg 6.474 6.470 0.000
Mg 6.474 2.141 0.000
O 4.346 2.146 0.000
O 2.293 0.000 0.000
O 6.529 2.153 2.172
O 4.346 4.305 2.172
O 2.162 2.153 2.172
O 6.399 0.000 0.000
O 2.162 6.458 2.172
O 2.316 4.305 0.000
O 4.346 6.465 0.000
O 6.375 4.305 0.000
O 6.529 6.458 2.172
O 0.000 6.556 0.000
O 0.000 4.305 2.172
O 0.000 0.000 2.172
O 0.000 2.054 0.000
O 4.346 0.000 2.172
Si 0.000 0.000 0.000
Cd 0.000 4.305 0.000
CELL_PARAMETERS angstrom
8.691 0.000 0.000
0.000 8.611 0.000
0.000 0.000 4.344
```

Output
Corrected total energy (MP2020 scheme) in eV per atom: -6.127

***

The following is a DFT calculation (PBE-GGA) of an optimized crystal structure of Mg6CdSnO8. Values from VASP.

Structure (Quantum ESPRESSO input):
```
&SYSTEM
  ibrav = 0, nat = 16, ntyp = 4
/
ATOMIC_SPECIES
Mg 24.30 Mg.upf
O 16.00 O.upf
Sn 118.71 Sn.upf
Cd 112.41 Cd.upf
ATOMIC_POSITIONS angstrom
Mg 0.176 -5.402 1.184
Mg -0.511 -2.454 2.053
Mg 0.622 -3.058 -0.872
Mg -2.766 -6.220 1.958
Mg -1.633 -6.825 -0.967
Mg 2.496 -1.527 1.282
O 1.815 -1.065 -0.821
O -1.639 -4.337 2.006
O -0.506 -4.941 -0.919
O -1.171 -1.957 -0.049
O -3.469 -5.795 -0.147
O 0.681 -0.461 2.104
O -0.987 -7.345 1.135
O 1.339 -3.460 1.233
Sn 0.000 0.000 0.000
Cd -2.320 -3.876 -0.098
CELL_PARAMETERS angstrom
-4.640 -7.752 -0.196
3.629 -2.131 -1.643
1.363 -0.922 4.207
```

Output
Offset from the most stable computed form in meV/atom: 42.4
Corrected total energy (MP2020 scheme) in eV per atom: -5.787

***

The following is a DFT calculation (PBE-GGA) of an optimized crystal structure of Mg6CdSnO8. Values from VASP.

Structure (Quantum ESPRESSO input):
```
&SYSTEM
  ibrav = 0, nat = 16, ntyp = 4
/
ATOMIC_SPECIES
O 16.00 O.upf
Mg 24.30 Mg.upf
Cd 112.41 Cd.upf
Sn 118.71 Sn.upf
ATOMIC_POSITIONS angstrom
O 0.000 2.256 0.000
O 0.000 0.000 2.256
O 4.495 0.000 2.256
O 2.459 0.000 0.000
O 6.565 2.256 2.256
O 6.530 0.000 0.000
O 4.495 2.256 0.000
O 2.424 2.256 2.256
Mg 6.574 0.000 2.256
Mg 2.415 2.256 0.000
Mg 4.495 0.000 0.000
Mg 2.415 0.000 2.256
Mg 6.574 2.256 0.000
Mg 4.495 2.256 2.256
Cd 0.000 2.256 2.256
Sn 0.000 0.000 0.000
CELL_PARAMETERS angstrom
8.989 0.000 0.000
0.000 4.512 0.000
0.000 0.000 4.512
```

Output
Offset from the most stable computed form in meV/atom: 0.0
Corrected total energy (MP2020 scheme) in eV per atom: -5.830

***

What mass density values result from the calculations? In sequence: 3.48; 2.40; 2.48; 4.80; 2.14; 2.14; 3.43; 2.58; 2.58; 3.43; 6.10; 3.28; 3.31; 4.71; 3.76; 3.76; 4.55; 4.58 g/cm³.